Record 1
## Na2Al2Si3H4O12 (GGA-PBE)

Data for a relaxed Na2Al2Si3H4O12 crystal.

Lattice parameters (Å, degrees): 8.0798 8.4616 8.9424 103.18 99.96 96.66
Closest atoms and distances in Å follow each position.
Space group P1 (No. 1)
Unique sites:
Na 0.0000 0.0000 0.0000 x1  5 O 2.33-2.61
Na 0.0021 0.5694 0.5114 x1  4 O 2.27-2.49, 1 H 2.44
Na 0.2427 0.2302 0.3908 x1  4 O 2.30-2.44
Na 0.6217 0.4558 0.3095 x1  6 O 2.35-2.55
Al 0.0735 0.3898 0.1173 x1  4 O 1.77-1.91
Al 0.5729 0.7957 0.9250 x1  3 O 1.77-1.93
Al 0.8723 0.1119 0.2859 x1  4 O 1.73-1.86
Al 0.8798 0.7045 0.1367 x1  4 O 1.76-1.93
Si 0.3517 0.1992 0.9468 x1  3 O 1.61-1.68
Si 0.4242 0.7350 0.5447 x1  5 O 1.70-1.83
Si 0.4413 0.0011 0.0787 x1  1 H 1.51
Si 0.6750 0.4327 0.9425 x1  1 H 1.46, 1 O 1.62
Si 0.7144 0.9665 0.6859 x1  4 O 1.61-1.68
Si 0.9374 0.2590 0.6151 x1  4 O 1.60-1.70
H 0.0983 0.5091 0.8837 x1  1 O 1.10
H 0.2191 0.8891 0.5936 x1  1 O 0.98
H 0.3124 0.6289 0.7375 x1  1 O 0.98
H 0.4028 0.9648 0.3153 x1  1 O 0.97
H 0.4140 0.0862 0.7065 x1  1 O 0.99
H 0.6146 0.1064 0.1395 x1  1 Si 1.51
H 0.6538 0.3609 0.7738 x1  1 Si 1.46
H 0.8433 0.7517 0.3908 x1  1 O 0.98
O 0.0064 0.1380 0.4780 x1  1 Si 1.63, 1 Al 1.82
O 0.0594 0.4236 0.7214 x1  1 H 1.43
O 0.0643 0.7175 0.0453 x1  1 O 1.49
O 0.1450 0.5670 0.0093 x1  1 H 1.10
O 0.1806 0.2607 0.9890 x1  1 Si 1.61
O 0.2039 0.4788 0.3255 x1  1 O 1.52
O 0.2226 0.7776 0.5342 x1  1 H 0.98
O 0.3249 0.1376 0.7526 x1  1 H 0.99
O 0.3447 0.0117 0.2350 x1  1 H 0.97
O 0.3807 0.5811 0.3747 x1  1 O 1.52
O 0.4262 0.6753 0.7275 x1  1 H 0.98
O 0.5162 0.9387 0.5809 x1  2 Si 1.67-1.73, 1 H 1.85
O 0.5195 0.3513 0.0129 x1  2 Si 1.65-1.68
O 0.6352 0.6742 0.5476 x1  1 O 1.50
O 0.6703 0.6351 0.9803 x1  1 Si 1.67, 1 Al 1.77
O 0.6970 0.2091 0.3584 x1  1 O 1.54
O 0.7015 0.9352 0.8555 x1  1 Si 1.62, 1 Al 1.77
O 0.7827 0.3373 0.5132 x1  1 O 1.54, 1 Si 1.70
O 0.7876 0.8072 0.5830 x1  1 O 1.50, 1 Si 1.68
O 0.8404 0.1358 0.7085 x1  2 Si 1.61-1.68
O 0.8450 0.9104 0.1704 x1  2 Al 1.75-1.76
O 0.8530 0.6530 0.3125 x1  1 H 0.98
O 0.8617 0.4470 0.0510 x1  1 Si 1.62
O 0.9901 0.2315 0.1965 x1  2 Al 1.73-1.77

Summary:
Energy above the most stable polymorph in this dataset   609 meV/atom
ΔH_f (0 K)   -2.078 eV per atom
Total magnetization   0.000 μB per atom

---

Record 2
## LaFeNi4 (GGA-PBE)

Data for a relaxed LaFeNi4 crystal.

Lattice parameters (Å, degrees): 5.0386 5.0386 3.9634 90.00 90.00 120.00
Closest atoms and distances in Å follow each position.
Space group P-6m2 (No. 187)
Unique sites:
La 0.0000 0.0000 0.0000 x1  3 Fe 2.91, 15 Ni 2.91-3.21
Fe 0.3333 0.6667 0.0000 x1  6 Ni 2.46
Ni 0.5003 0.0005 0.5000 x3  6 Ni 2.46-2.52, 2 Fe 2.46
Ni 0.6667 0.3333 0.0000 x1  6 Ni 2.46

Summary:
ΔH_f (0 K)   -0.200 eV per atom
Total magnetization   0.634 μB per atom

---

Record 3
## MgTi4S8 (GGA-PBE)

Data for a relaxed MgTi4S8 crystal.

Lattice parameters (Å, degrees): 6.8284 6.8284 18.7949 90.00 90.00 120.00
Closest atoms and distances in Å follow each position.
Space group R-3m (No. 166, hexagonal axes)
Unique sites:
Mg 0.0000 0.0000 0.0000 x3  6 S 2.59
Ti 0.0000 0.0000 0.5000 x3  6 S 2.45
Ti 0.0000 0.5000 0.5000 x9  6 S 2.43-2.46
S 0.0000 0.0000 0.2421 x6  3 Ti 2.43
S 0.0010 0.5005 0.2445 x18  3 Ti 2.45-2.46, 1 Mg 2.59

Summary:
Energy above the most stable polymorph in this dataset   0 meV/atom
ΔH_f (0 K)   -1.658 eV per atom

---

Record 4
## ErCuTe2 (GGA-PBE)

Data for a relaxed ErCuTe2 crystal.

Lattice parameters (Å, degrees): 4.2230 4.2230 6.6648 90.00 90.00 120.00
Closest atoms and distances in Å follow each position.
Space group P-3m1 (No. 164)
Unique sites:
Er 0.0000 0.0000 0.0000 x1  6 Te 3.05, 2 Cu 3.33
Cu 0.0000 0.0000 0.5000 x1  6 Te 2.86
Te 0.3333 0.6667 0.2755 x2  3 Cu 2.86, 3 Er 3.05

Summary:
ΔH_f (0 K)   -1.005 eV per atom
Total magnetization   0.000 μB per atom

---

Record 5
## BaAl4Se7 (GGA-PBE)

Data for a relaxed BaAl4Se7 crystal.

Lattice parameters (Å, degrees): 7.7227 6.6252 14.9144 90.00 121.01 90.00
Closest atoms and distances in Å follow each position.
Space group Pc (No. 7)
Unique sites:
Ba 0.0000 0.1420 0.0000 x2  6 Se 3.46-3.73
Al 0.4385 0.4875 0.9572 x2  4 Se 2.38-2.50
Al 0.4426 0.3387 0.6951 x2  4 Se 2.37-2.47
Al 0.6709 0.1352 0.1796 x2  4 Se 2.38-2.50
Al 0.9263 0.3456 0.6833 x2  4 Se 2.37-2.47
Se 0.2241 0.3532 0.5107 x2  2 Al 2.37-2.42
Se 0.2545 0.4775 0.2622 x2  3 Al 2.47-2.50
Se 0.4429 0.1380 0.9951 x2  2 Al 2.38
Se 0.5288 0.0138 0.7735 x2  2 Al 2.38-2.39
Se 0.7600 0.4771 0.2619 x2  3 Al 2.44-2.50
Se 0.7656 0.3947 0.5003 x2  2 Al 2.37-2.39
Se 0.9968 0.0016 0.7341 x2  2 Al 2.38-2.39

Summary:
ΔH_f (0 K)   -1.371 eV per atom

---

Record 6
## Ta6Nb3Te2S3 (GGA-PBE)

Data for a relaxed Ta6Nb3Te2S3 crystal.

Lattice parameters (Å, degrees): 12.3589 3.4397 13.6533 90.00 112.61 90.00
Closest atoms and distances in Å follow each position.
Space group P2_1/m (No. 11)
Unique sites:
Ta 0.0200 0.2500 0.0915 x2  9 Ta 2.85-3.19
Ta 0.0464 0.7500 0.2660 x2  1 S 2.71, 6 Ta 2.85-3.01, 2 Nb 2.88
Ta 0.1674 0.7500 0.7811 x2  3 S 2.48-2.51
Ta 0.1774 0.2500 0.9527 x2  2 S 2.53
Ta 0.2180 0.7500 0.1360 x2  1 S 2.65, 6 Ta 2.85-2.92, 2 Nb 2.97
Ta 0.2509 0.2500 0.3115 x2  4 Ta 2.85-2.92, 4 Te 2.88-2.89
Nb 0.0563 0.2500 0.4388 x2  3 S 2.52-2.55
Nb 0.4063 0.2500 0.9110 x2  4 S 2.52-2.54
Nb 0.4207 0.2500 0.1549 x2  3 S 2.49-2.50
Te 0.2572 0.7500 0.4833 x2  3 Ta 2.89-3.11, 2 Nb 2.89
Te 0.4473 0.7500 0.3370 x2  3 Ta 2.88-3.10, 2 Nb 2.94
S 0.1071 0.2500 0.6363 x2  3 Ta 2.51-2.71, 3 Nb 2.52-2.55
S 0.3394 0.7500 0.0126 x2  4 Nb 2.50-2.54, 3 Ta 2.53-2.65
S 0.3611 0.7500 0.7654 x2  1 Ta 2.48, 3 Nb 2.49-2.52

Summary:
ΔH_f (0 K)   -0.630 eV per atom
Total magnetization   0.000 μB per atom

---

Record 7
## Ga41N11O45 (GGA-PBE)

Data for a relaxed Ga41N11O45 crystal.

Lattice parameters (Å, degrees): 10.2889 5.9540 34.2110 90.00 95.78 90.00
Closest atoms and distances in Å follow each position.
Space group Cm (No. 8)
Unique sites:
Ga 0.0000 0.0000 0.0000 x2  1 N 1.94, 5 O 2.03-2.08
Ga 0.9995 0.0000 0.5019 x2  1 N 1.95, 5 O 2.05-2.08
Ga 0.0146 0.5000 0.5543 x2  4 O 1.90-1.94
Ga 0.0318 0.2656 0.3580 x4  2 N 1.97-1.98, 4 O 2.04-2.13
Ga 0.0364 0.0000 0.1582 x2  2 N 1.89-1.90, 2 O 1.95
Ga 0.0515 0.5000 0.7208 x2  3 O 1.89-2.09, 1 N 1.96
Ga 0.0712 0.5000 0.2153 x2  1 N 1.94, 5 O 2.06-2.07
Ga 0.0879 0.0000 0.2691 x2  4 O 1.93-1.94
Ga 0.1034 0.2350 0.0715 x4  2 N 1.97-1.98, 4 O 2.05-2.12
Ga 0.1177 0.5000 0.8730 x2  3 O 1.81-1.96, 1 N 1.94
Ga 0.1413 0.0000 0.4306 x2  1 N 1.94, 5 O 2.05-2.08
Ga 0.1420 0.0000 0.9260 x2  6 O 1.94-2.13
Ga 0.1591 0.5000 0.9819 x2  4 O 1.92-1.97
Ga 0.1747 0.2571 0.7845 x4  1 N 1.96, 5 O 2.01-2.11
Ga 0.1774 0.0000 0.5891 x2  2 N 1.91, 2 O 1.97
Ga 0.2076 0.5000 0.6454 x2  6 O 1.96-2.09
Ga 0.2127 0.5000 0.1442 x2  1 N 1.94, 5 O 2.05-2.08
Ga 0.2202 0.0000 0.6997 x2  3 O 1.82-1.95
Ga 0.2455 0.2343 0.5013 x4  2 N 1.97-1.98, 4 O 2.04-2.13
Ga 0.2508 0.5000 0.3016 x2  2 N 1.89-1.90, 2 O 1.95
Ga 0.2855 0.0000 0.3585 x2  1 N 1.94, 5 O 2.06-2.07
Ga 0.3020 0.5000 0.4123 x2  4 O 1.93-1.95
Ga 0.3105 0.0000 0.8510 x2  2 O 1.86, 1 N 1.95
Ga 0.3175 0.2657 0.2148 x4  2 N 1.97-1.98, 4 O 2.05-2.13
Ga 0.3242 0.0000 0.0172 x2  1 N 1.87, 3 O 1.91-1.92
Ga 0.3532 0.5000 0.5740 x2  1 N 1.93, 5 O 2.04-2.09
Ga 0.3567 0.5000 0.0720 x2  1 N 1.94, 5 O 2.06-2.07
Ga 0.3735 0.0000 0.1261 x2  4 O 1.93-1.94
Ga 0.3905 0.2431 0.9254 x4  1 N 1.93, 5 O 1.97-2.14
Ga 0.3963 0.5000 0.7354 x2  3 O 1.85-2.04, 1 N 1.88
Ga 0.4272 0.0000 0.2874 x2  1 N 1.94, 5 O 2.05-2.08
Ga 0.4448 0.5000 0.8362 x2  3 O 1.83-1.92
Ga 0.4598 0.2572 0.6437 x4  1 N 1.97, 5 O 1.99-2.11
Ga 0.4647 0.0000 0.4448 x2  2 N 1.89-1.90, 2 O 1.95
N 0.0116 0.0000 0.6094 x2  4 Ga 1.91-1.97
N 0.0259 0.0000 0.1025 x2  4 Ga 1.90-1.97
N 0.0874 0.5000 0.3224 x2  4 Ga 1.89-1.98
N 0.1589 0.0000 0.0359 x2  4 Ga 1.87-1.98
N 0.1686 0.0000 0.5330 x2  4 Ga 1.91-1.98
N 0.2255 0.5000 0.7502 x2  4 Ga 1.88-1.96
N 0.2403 0.5000 0.2459 x2  4 Ga 1.90-1.97
N 0.3012 0.0000 0.4657 x2  4 Ga 1.89-1.97
N 0.3731 0.5000 0.1792 x2  4 Ga 1.89-1.98
N 0.4500 0.0000 0.8942 x2  4 Ga 1.93-1.95
N 0.4545 0.0000 0.3892 x2  4 Ga 1.90-1.97
O 0.0020 0.2445 0.7487 x4  3 Ga 1.85-2.05
O 0.0294 0.5000 0.6102 x2  4 Ga 1.90-2.09
O 0.0436 0.5000 0.1060 x2  4 Ga 1.94-2.10
O 0.0630 0.2374 0.9635 x4  4 Ga 1.92-2.13
O 0.0651 0.2385 0.4649 x4  4 Ga 1.95-2.13
O 0.1045 0.0000 0.3260 x2  4 Ga 1.94-2.10
O 0.1098 0.5000 0.8198 x2  1 Ga 1.81
O 0.1204 0.0000 0.8219 x2  4 Ga 1.92-2.11
O 0.1307 0.2629 0.6762 x4  3 Ga 1.95-1.99
O 0.1366 0.2611 0.1784 x4  4 Ga 1.95-2.13
O 0.1765 0.5000 0.0398 x2  4 Ga 1.97-2.10
O 0.1859 0.5000 0.5352 x2  4 Ga 1.94-2.09
O 0.2051 0.2388 0.3926 x4  4 Ga 1.93-2.08
O 0.2139 0.2427 0.8969 x4  3 Ga 1.94-1.97
O 0.2376 0.0000 0.7531 x2  3 Ga 1.82-2.01
O 0.2580 0.0000 0.2491 x2  4 Ga 1.94-2.10
O 0.2767 0.2606 0.1063 x4  4 Ga 1.93-2.08
O 0.2786 0.2643 0.6088 x4  4 Ga 1.97-2.11
O 0.3142 0.0000 0.9611 x2  4 Ga 1.91-2.10
O 0.3184 0.5000 0.4690 x2  4 Ga 1.93-2.11
O 0.3315 0.5000 0.9637 x2  4 Ga 1.94-2.14
O 0.3431 0.2549 0.8223 x4  2 Ga 1.83-1.86
O 0.3510 0.2387 0.3216 x4  4 Ga 1.95-2.13
O 0.3801 0.5000 0.6756 x2  4 Ga 1.96-2.04
O 0.3902 0.0000 0.1830 x2  4 Ga 1.94-2.10
O 0.3955 0.0000 0.6767 x2  4 Ga 2.04-2.09
O 0.4184 0.2624 0.5355 x4  4 Ga 1.93-2.09
O 0.4232 0.2599 0.0353 x4  4 Ga 1.92-2.12
O 0.4650 0.5000 0.8972 x2  4 Ga 1.98-2.08
O 0.4723 0.5000 0.3922 x2  4 Ga 1.95-2.10
O 0.4909 0.2391 0.2494 x4  4 Ga 1.93-2.08

Summary:
ΔH_f (0 K)   -1.783 eV per atom
Total magnetization   0.002 μB per atom

---

Record 8
## CuC2O8 (GGA-PBE)

Data for a relaxed CuC2O8 crystal.

Lattice parameters (Å, degrees): 4.4126 9.4625 9.5052 90.00 100.67 90.00
Closest atoms and distances in Å follow each position.
Space group P2_1/c (No. 14)
Unique sites:
Cu 0.0000 0.0000 0.0000 x2  2 O 1.82
C 0.1595 0.1505 0.6971 x4  2 O 1.18
O 0.0848 0.0330 0.7128 x4  1 C 1.18
O 0.2298 0.2317 0.1807 x4  1 C 1.18
O 0.4074 0.5476 0.5284 x4  1 O 1.39
O 0.4719 0.5628 0.9862 x4  1 O 1.23

Summary:
Energy above the most stable polymorph in this dataset   9 meV/atom
ΔH_f (0 K)   -0.761 eV per atom
Total magnetization   0.145 μB per atom

---

Record 9
## LuSF (GGA-PBE)

Data for a relaxed LuSF crystal.

Lattice parameters (Å, degrees): 3.9692 3.9692 24.7403 90.00 90.00 120.00
Closest atoms and distances in Å follow each position.
Space group R-3m (No. 166, hexagonal axes)
Unique sites:
Lu 0.0000 0.0000 0.0000 x3  6 F 2.29
Lu 0.0000 0.0000 0.5000 x3  6 S 2.70
S 0.0000 0.0000 0.1092 x6  4 Lu 2.70
F 0.0000 0.0000 0.3326 x6  3 Lu 2.29, 3 F 2.29

Summary:
ΔH_f (0 K)   -3.273 eV per atom

---

Record 10
## Mg3B (GGA-PBE)

Data for a relaxed Mg3B crystal.

Lattice parameters (Å, degrees): 3.2842 4.2905 4.9229 90.00 90.00 90.00
Closest atoms and distances in Å follow each position.
Space group Pmm2 (No. 25)
Unique sites:
Mg 0.0000 0.0000 0.0000 x1  4 Mg 2.78-2.93, 4 B 2.84
Mg 0.0000 0.5000 0.4052 x1  2 B 2.64, 6 Mg 2.79-2.93
Mg 0.5000 0.0000 0.5450 x1  2 B 2.55, 6 Mg 2.78-2.79
B 0.5000 0.5000 0.8246 x1  8 Mg 2.55-2.84

Summary:
ΔH_f (0 K)   0.607 eV per atom
Total magnetization   0.000 μB per atom